48
Lattice="6.061 0.000 0.000 2.013 9.549 0.000 1.929 4.020 8.848" Properties=species:S:1:pos:R:3 comment="Li8Mn7FeB8O24 (PBE with a Hubbard U, optimized geometry)" space_group="No. 1" formation_enthalpy_0k_ev_per_atom=-2.4840 energy_mp2020_ev_per_atom=-7.902 pbc="T T T"
Li 3.172 1.066 1.640
O 8.330 8.942 3.851
Mn 7.735 10.099 5.535
O 4.015 7.465 3.085
B 6.830 5.651 4.732
O 4.276 4.164 3.840
Mn 4.235 10.262 7.734
O 3.748 2.610 0.573
O 6.735 6.204 3.472
Mn 6.302 8.252 3.309
Li 7.211 5.830 1.634
O 4.710 11.012 3.485
O 1.299 0.585 0.946
O 2.018 4.078 1.379
O 6.031 2.689 3.087
Li 2.845 10.512 2.800
O 5.283 2.599 5.370
B 7.172 9.914 8.526
B 2.841 3.647 0.336
Mn 3.701 5.312 5.530
Li 6.830 12.509 7.217
O 4.658 8.212 7.923
O 8.007 9.475 7.506
O 8.286 6.180 8.276
B 4.800 10.455 4.740
Li 5.143 7.844 6.058
O 6.262 10.950 8.275
Li 7.161 3.064 6.047
Mn 6.260 5.480 7.736
Fe 2.263 3.505 3.301
O 3.970 4.704 7.505
B 3.135 5.142 8.527
Mn 5.769 3.305 1.123
Li 4.855 5.720 2.791
O 5.339 5.355 0.946
O 1.716 7.390 0.578
O 3.270 7.363 5.371
O 1.671 4.602 4.967
B 5.188 3.128 4.098
O 6.030 8.870 1.338
O 6.006 6.091 5.762
Li 2.792 7.733 7.219
O 5.704 9.408 4.990
B 6.869 8.428 0.321
B 3.177 7.904 4.104
O 8.708 12.982 7.900
Mn 3.743 8.086 1.115
O 3.961 10.880 5.766



48
Lattice="-2.112 -1.624 -5.369 7.457 -2.289 -4.462 -0.477 -9.651 1.161" Properties=species:S:1:pos:R:3 comment="Li8MnFe7B8O24 (PBE with a Hubbard U, optimized geometry)" space_group="No. 1" formation_enthalpy_0k_ev_per_atom=-2.3499 energy_mp2020_ev_per_atom=-7.681 pbc="T T T"
O 1.025 -8.278 -4.374
O 4.005 -8.129 -5.969
B 4.328 -8.429 -2.079
O -0.276 -2.126 -3.697
B 1.358 -9.128 -3.313
Fe -0.185 -6.695 -4.144
O 4.192 -4.606 -6.551
B 0.200 -5.302 -1.495
O -0.748 -4.310 -1.315
B 4.674 -8.264 -7.193
Fe 5.100 -6.872 -4.550
O 0.873 -5.422 -2.718
Li 4.816 -10.551 -8.708
Mn 3.780 -12.539 -6.635
O 4.993 -8.571 -3.306
B 5.956 -2.630 -5.085
O 2.554 -10.879 -6.377
Fe 1.058 -1.054 -2.017
Li 2.789 -5.791 -2.735
B 3.517 -4.452 -5.329
O 1.474 -6.097 -6.746
O -0.410 -11.070 -4.822
O 6.911 -3.620 -5.262
B 0.522 -5.107 -6.584
O 2.300 -10.120 -3.491
Fe 3.912 -9.841 -4.733
O 0.689 -9.003 -2.090
B -1.077 -10.920 -3.599
O -0.155 -4.985 -5.360
O 5.621 -9.251 -7.368
Li 6.112 -4.946 -6.617
O 5.152 -11.429 -4.981
O 3.377 -7.439 -1.915
O 0.529 -6.151 -0.437
Li 3.359 -2.147 -3.829
Fe 3.081 -5.856 -7.987
O 3.856 -5.281 -4.256
O 4.337 -7.415 -8.256
O 2.575 -3.455 -5.178
O 2.301 -2.647 -2.281
Li -1.230 -8.623 -2.067
O -2.007 -9.919 -3.429
Li 1.505 -11.437 -4.850
Fe 1.749 -7.732 -0.672
Fe 0.926 -3.716 -3.936
Li 0.050 -2.989 0.045
Li 2.076 -7.775 -5.932
O 5.283 -2.517 -3.865



24
Lattice="5.236 0.000 0.000 -2.607 4.556 0.000 -0.143 -0.295 10.491" Properties=species:S:1:pos:R:3 comment="Li4Mn3FeB4O12 (PBE with a Hubbard U, optimized geometry)" space_group="No. 1" formation_enthalpy_0k_ev_per_atom=-2.4635 energy_mp2020_ev_per_atom=-7.867 pbc="T T T"
Li 0.655 1.344 8.727
O 1.999 -0.095 8.733
O 1.156 1.179 1.466
O 4.078 0.886 9.489
O 0.494 4.335 1.646
B -1.761 2.902 3.921
Li 1.671 2.992 0.870
Mn -0.954 4.356 6.452
Li 0.936 1.366 3.482
B -0.862 4.492 1.320
O 3.681 0.153 6.090
B 3.316 -0.246 9.171
Mn 4.335 1.451 1.237
Li 1.679 2.805 6.117
O 1.269 3.056 9.325
O 3.443 2.439 6.857
O 0.388 1.444 6.695
Fe 0.926 4.428 3.857
O -1.130 4.110 4.210
B 4.257 1.342 6.536
Mn 3.337 2.827 9.098
O 2.090 2.803 4.066
O -1.601 3.400 0.870
O -1.019 1.791 3.524



48
Lattice="-4.161 2.409 2.075 -5.101 -7.280 -1.706 2.167 -3.978 9.370" Properties=species:S:1:pos:R:3 comment="Li4MnFe3B4O12 (PBE with a Hubbard U, optimized geometry)" space_group="No. 1" formation_enthalpy_0k_ev_per_atom=-2.3737 energy_mp2020_ev_per_atom=-7.720 pbc="T T T"
O -4.364 -7.541 2.826
O -1.651 -7.024 8.149
Li -1.066 -5.197 8.732
O -3.099 -1.804 1.387
Li -5.867 -3.833 1.881
O -7.706 -4.185 1.540
O -3.881 -2.700 4.706
O -2.927 -8.698 6.929
B -5.666 -7.951 2.533
B -1.415 -0.901 7.232
O -1.681 -4.422 5.693
Li -1.240 -1.401 1.658
Li -2.123 -3.293 3.998
B -5.186 -3.108 4.406
O -5.477 -1.874 1.773
Fe -3.904 -5.602 3.112
O -0.318 -1.742 7.039
Fe -3.499 -0.723 5.065
O 0.618 -4.469 7.967
B -4.226 -1.308 2.043
O -4.117 -0.231 2.917
Fe -3.033 -3.723 0.777
O -6.318 -6.854 5.885
Li -5.703 -7.652 8.916
O -5.413 -4.328 3.798
Li -4.696 -5.984 6.439
O -4.062 -6.947 8.129
Li -0.070 -3.569 6.288
O -3.177 -6.227 5.151
B -2.386 -2.688 9.622
O -2.116 -4.674 2.630
O -5.914 -6.726 -0.167
Fe -3.091 -3.410 6.697
O -1.133 -2.185 9.992
O -2.722 -1.371 7.040
O -6.752 -7.123 2.824
Fe -4.562 -9.904 7.248
O -2.453 -3.833 8.813
B -1.874 -5.757 5.336
O -4.593 -5.057 1.006
Mn -4.084 -5.135 9.164
O -0.779 -1.894 3.621
Fe -3.564 -8.252 4.812
Mn -7.612 -6.184 0.956
B -2.879 -7.551 7.747
Li -6.741 -5.731 4.187
B -4.679 -6.126 0.108
O -4.940 -4.188 7.229



24
Lattice="5.224 0.000 0.000 -0.117 5.997 0.000 -0.075 -1.858 8.007" Properties=species:S:1:pos:R:3 comment="Li4MnFe3B4O12 (PBE with a Hubbard U, optimized geometry)" space_group="No. 1" formation_enthalpy_0k_ev_per_atom=-2.3725 energy_mp2020_ev_per_atom=-7.718 pbc="T T T"
B 0.786 4.837 0.741
O 0.876 2.357 2.452
B 4.239 -0.701 7.252
Fe 4.230 3.827 4.651
O 1.649 -0.249 1.502
O 0.942 4.028 4.187
Fe 1.698 1.765 0.669
O 4.168 1.798 5.537
Fe 3.326 2.384 7.317
Li 1.751 -1.090 5.794
O 0.383 -0.580 7.065
O 4.061 0.081 3.845
O 2.973 3.368 3.079
B 3.417 0.892 4.773
O 4.656 4.711 0.931
Mn 0.832 0.329 3.354
O 1.395 2.155 7.848
Li 0.689 1.272 6.260
O 3.647 1.973 0.147
B 1.613 3.244 3.251
Li 4.331 2.872 1.755
O 2.057 0.781 4.980
O 3.389 4.392 6.473
Li 3.283 5.226 2.220



36
Lattice="-5.877 -2.336 -6.195 -2.479 -7.362 -4.245 -6.950 -3.730 2.496" Properties=species:S:1:pos:R:3 comment="Li6Mn5FeB6O18 (PBE with a Hubbard U, optimized geometry)" space_group="No. 8" formation_enthalpy_0k_ev_per_atom=-2.4807 energy_mp2020_ev_per_atom=-7.894 pbc="T T T"
O -8.475 -5.080 -3.530
O -4.814 -2.232 -2.621
Fe -9.321 -9.256 -7.618
Li -11.264 -7.727 -5.490
O -7.459 -7.173 -0.287
Li -10.675 -5.879 -1.771
B -8.269 -4.451 -2.310
Li -7.049 -4.627 -4.860
Mn -5.764 -6.637 -7.065
Mn -8.599 -7.253 -3.711
Li -5.347 -7.145 -3.884
O -14.270 -12.570 -7.537
Mn -4.416 -2.402 1.502
O -3.099 -4.769 -1.637
O -9.157 -4.660 -1.262
O -6.778 -7.592 -2.556
B -4.178 -4.849 -5.220
B -8.740 -6.465 -6.619
B -7.048 -8.967 -5.649
Mn -5.121 -4.388 -2.387
O -11.133 -9.086 -4.023
B -6.557 -6.982 -1.328
Mn -1.587 -1.790 -1.849
B -8.349 -9.689 -10.428
Li -9.567 -10.237 -4.517
O -5.199 -5.195 -4.333
O -7.167 -3.620 -2.134
O -6.966 -4.238 1.214
O -9.359 -10.018 -9.517
O -5.923 -8.157 -5.489
O -10.104 -7.727 -2.312
O -7.924 -9.151 -4.580
Li -8.973 -8.397 -0.794
O -9.621 -6.640 -5.554
O -5.441 -6.174 -1.144
O -7.625 -5.639 -6.466



36
Lattice="3.185 0.000 0.000 0.000 8.268 0.000 0.000 0.013 14.338" Properties=species:S:1:pos:R:3 comment="Li6Mn5FeB6O18 (PBE with a Hubbard U, optimized geometry)" space_group="No. 6" formation_enthalpy_0k_ev_per_atom=-2.4805 energy_mp2020_ev_per_atom=-7.894 pbc="T T T"
Li 1.592 1.112 12.178
O 0.000 5.260 7.978
O 1.592 8.190 8.170
B 0.000 8.268 0.001
Li 1.592 5.846 0.130
O 1.592 7.120 10.325
Li 1.592 5.460 9.200
O 1.592 8.154 3.387
O 1.592 1.252 10.176
Li 1.592 1.721 7.280
O 1.592 5.377 3.009
O 1.592 2.976 3.186
O 0.000 0.169 12.952
Fe 0.000 2.591 4.599
Mn 0.000 2.705 9.833
B 1.592 0.009 9.557
O 0.000 4.260 5.771
B 1.592 4.144 11.948
O 1.592 4.029 10.560
O 1.592 5.404 12.543
O 0.000 1.122 0.830
B 0.000 4.128 7.166
O 0.000 6.989 0.559
O 1.592 1.286 5.351
O 1.592 4.034 1.017
Li 1.592 1.322 2.040
O 0.000 2.858 7.733
B 1.592 0.022 4.774
Mn 0.000 6.834 2.664
Mn 0.000 6.697 11.763
Mn 0.000 3.033 14.256
Li 1.592 5.235 5.001
B 1.592 4.127 2.404
O 1.592 7.143 5.574
Mn 0.000 7.169 7.078
O 1.592 3.001 12.744



48
Lattice="-4.554 -2.405 1.039 -0.026 -4.780 2.117 0.564 8.120 19.207" Properties=species:S:1:pos:R:3 comment="Li4MnFe3B4O12 (PBE with a Hubbard U, optimized geometry)" space_group="No. 1" formation_enthalpy_0k_ev_per_atom=-2.3622 energy_mp2020_ev_per_atom=-7.708 pbc="T T T"
Fe -4.397 -3.052 8.367
O -2.826 -1.311 4.993
O -0.126 1.051 6.187
Li -1.103 3.391 19.334
O -2.564 2.776 14.544
Li -2.820 -0.726 6.995
Li -3.026 -2.934 2.231
O -3.052 0.110 10.041
Li -1.324 -0.656 9.808
O -0.882 2.782 9.082
Fe -4.065 0.993 17.958
O -2.164 5.172 16.525
O -4.175 -4.197 6.437
Fe -2.631 1.173 20.756
O -4.364 -3.733 3.389
O -3.066 -1.866 13.181
B -4.308 -0.452 10.142
O -1.853 -4.376 5.746
Fe -1.169 3.666 11.146
Li -2.482 3.240 16.585
Fe -4.431 -2.487 5.266
O -3.448 -5.964 3.534
O -1.123 2.315 17.642
O 0.147 5.050 15.807
Fe 0.369 4.038 13.831
O -0.679 6.799 18.661
O -3.910 -0.101 16.019
B -4.192 -1.043 13.293
O -1.584 -0.251 15.351
O -1.413 -1.686 8.003
Mn -1.495 -0.369 1.485
B -1.341 -3.009 8.419
O -0.855 0.838 12.640
Mn -2.823 -2.871 11.123
O -2.443 1.184 6.879
Li -1.140 1.489 14.529
Li -2.660 1.084 11.863
O -2.836 4.195 19.591
O -1.227 -3.170 2.983
B 0.472 6.001 18.669
O 0.368 4.621 18.838
Li -1.407 -2.614 4.955
O 0.090 0.571 9.253
B -2.930 -0.110 4.306
O -4.073 0.332 13.015
B -1.043 5.777 15.942
B 0.013 -2.696 2.606
B -2.689 -0.788 15.999